(1)
A plane-wave DFT calculation with PBE with a Hubbard U was carried out for a relaxed structure of CrPO5.

Energy relative to the elements, eV/atom: -2.158
Size of the total moment, μB/f.u.: 1.0
Uncorrected energy, eV per atom: -7.0682
ρ, g cm⁻³: 2.84
ΔE to the lowest computed polymorph, eV per atom: 0.0246

Cell: 5.1810 8.3868 9.3095 Å, 102.25 104.37 91.41°
With the nearest neighbours (Å) after each atom.
Space group P-1 (No. 2)
Inequivalent atoms, fractional coordinates:
Cr: 0.1866 0.2328 0.4437  6 O 1.91-1.98
Cr: 0.2497 0.7277 0.0570  2 O 1.58-1.59
P: 0.2239 0.5800 0.3455  4 O 1.52-1.59
P: 0.3666 0.9846 0.6898  4 O 1.52-1.60
O: 0.0104 0.1867 0.0049  1 Cr 1.58
O: 0.0551 0.6903 0.4300  1 P 1.52
O: 0.1202 0.8982 0.7112  1 P 1.53
O: 0.1382 0.3978 0.3286  1 P 1.54
O: 0.1655 0.6028 0.1755  1 P 1.59
O: 0.2794 0.0634 0.5527  1 P 1.54
O: 0.3345 0.6193 0.9170  1 Cr 1.59
O: 0.4082 0.1267 0.3171  1 P 1.52
O: 0.4728 0.1298 0.8375  1 P 1.60, 1 Cr 1.78
O: 0.4766 0.3802 0.5894  1 P 1.52

---

(2)
A plane-wave DFT calculation with PBE with a Hubbard U was carried out for a relaxed structure of CrP3O9.

Energy relative to the elements, eV/atom: -2.597
Size of the total moment, μB/f.u.: 0.0
Uncorrected energy, eV per atom: -7.3844
ρ, g cm⁻³: 2.62
ΔE to the lowest computed polymorph, eV per atom: 0.0237

Cell: 11.4446 6.6202 9.6721 Å, 90.00 90.19 90.00°
With the nearest neighbours (Å) after each atom.
Space group Cc (No. 9)
Inequivalent atoms, fractional coordinates:
Cr: 0.0000 0.0017 0.0000  6 O 2.00-2.01
P: 0.0555 0.3243 0.2500  4 O 1.50-1.61
P: 0.1344 0.2468 0.7521  4 O 1.50-1.61
P: 0.3098 0.4206 0.2479  4 O 1.50-1.61
O: 0.0026 0.2518 0.1168  1 P 1.50
O: 0.0042 0.2468 0.3822  1 P 1.50
O: 0.0449 0.4350 0.7520  2 P 1.60-1.61
O: 0.1210 0.1285 0.6207  1 P 1.50
O: 0.1251 0.1338 0.8863  1 P 1.50
O: 0.1945 0.2844 0.2498  2 P 1.60-1.61
O: 0.2602 0.3516 0.7484  2 P 1.60-1.61
O: 0.3717 0.3808 0.1141  1 P 1.50
O: 0.3751 0.3792 0.3796  1 P 1.50

---

(3)
A plane-wave DFT calculation with PBE with a Hubbard U was carried out for a relaxed structure of Cr3P4O14.

Energy relative to the elements, eV/atom: -2.547
Size of the total moment, μB/f.u.: 10.0
Uncorrected energy, eV per atom: -7.5124
ρ, g cm⁻³: 3.22
ΔE to the lowest computed polymorph, eV per atom: 0.0361

Cell: 7.3590 8.0183 9.4177 Å, 90.00 110.96 90.00°
With the nearest neighbours (Å) after each atom.
Space group P2_1/c (No. 14)
Inequivalent atoms, fractional coordinates:
Cr: 0.0000 0.0000 0.0000  6 O 2.00-2.05
Cr: 0.1953 0.1324 0.5289  4 O 1.99-2.10
P: 0.1096 0.7080 0.8042  4 O 1.51-1.59
P: 0.3982 0.0384 0.2927  4 O 1.51-1.64
O: 0.0038 0.2057 0.8717  1 P 1.57
O: 0.0290 0.5794 0.8896  1 P 1.55
O: 0.1258 0.6213 0.3741  1 P 1.51
O: 0.2635 0.0984 0.1310  1 P 1.57
O: 0.3193 0.6473 0.8145  2 P 1.59-1.64
O: 0.3716 0.1526 0.4120  1 P 1.52
O: 0.3925 0.5075 0.1919  1 P 1.51

---

(4)
A plane-wave DFT calculation with PBE with a Hubbard U was carried out for a relaxed structure of CrP2O7.

Energy relative to the elements, eV/atom: -2.328
Size of the total moment, μB/f.u.: 2.0
Uncorrected energy, eV per atom: -7.1587
ρ, g cm⁻³: 2.84
ΔE to the lowest computed polymorph, eV per atom: 0.1287

Cell: 6.9057 8.5585 9.3868 Å, 90.00 107.99 90.00°
With the nearest neighbours (Å) after each atom.
Space group P2_1/c (No. 14)
Inequivalent atoms, fractional coordinates:
Cr: 0.2041 0.0786 0.3088  5 O 1.87-2.00
P: 0.0203 0.7144 0.9608  4 O 1.52-1.57
P: 0.4057 0.7486 0.2433  4 O 1.49-1.63
O: 0.0202 0.1244 0.1202  1 P 1.56
O: 0.0208 0.5833 0.8524  1 P 1.52
O: 0.1439 0.1974 0.4589  1 P 1.55
O: 0.2361 0.7227 0.0808  2 P 1.57-1.63
O: 0.3747 0.6362 0.3553  1 P 1.49
O: 0.3825 0.5757 0.7829  1 P 1.57
O: 0.3920 0.2382 0.2915  1 P 1.53

---

(5)
A plane-wave DFT calculation with PBE with a Hubbard U was carried out for a relaxed structure of Cr6P7O24.

Energy relative to the elements, eV/atom: -2.526
Size of the total moment, μB/f.u.: 23.0
Uncorrected energy, eV per atom: -7.5547
ρ, g cm⁻³: 3.32

Cell: 5.3248 27.7376 6.4532 Å, 90.00 106.95 90.00°
With the nearest neighbours (Å) after each atom.
Space group P2_1/m (No. 11)
Inequivalent atoms, fractional coordinates:
Cr: 0.1428 0.1849 0.2878  5 O 2.03-2.23
Cr: 0.1930 0.5976 0.0725  4 O 2.06-2.13
Cr: 0.1983 0.0473 0.6926  4 O 2.03-2.13
P: 0.2807 0.1698 0.8227  4 O 1.51-1.64
P: 0.3027 0.6103 0.6121  4 O 1.50-1.61
P: 0.3097 0.0278 0.2092  4 O 1.52-1.61
P: 0.4331 0.7500 0.8924  4 O 1.53-1.58
O: 0.0957 0.1679 0.9671  1 P 1.54
O: 0.1228 0.6248 0.7527  1 P 1.55
O: 0.1301 0.0492 0.9957  1 P 1.55
O: 0.1363 0.5931 0.3858  1 P 1.55
O: 0.1414 0.7500 0.7674  1 P 1.53
O: 0.1488 0.1913 0.6022  1 P 1.51
O: 0.1681 0.0285 0.3819  1 P 1.52
O: 0.3632 0.2500 0.2361  1 P 1.55
O: 0.4218 0.5216 0.1791  1 P 1.53
O: 0.4256 0.1221 0.8192  1 P 1.54
O: 0.4329 0.5612 0.7288  2 P 1.61
O: 0.4760 0.7050 0.0492  2 P 1.58-1.64
O: 0.4939 0.1473 0.3917  1 P 1.50

---

(6)
A plane-wave DFT calculation with PBE with a Hubbard U was carried out for a relaxed structure of CrP2O6.

Energy relative to the elements, eV/atom: -2.494
Size of the total moment, μB/f.u.: 0.0
Uncorrected energy, eV per atom: -7.3885
ρ, g cm⁻³: 3.01
ΔE to the lowest computed polymorph, eV per atom: 0.0578

Cell: 7.2522 7.3293 17.6102 Å, 90.00 97.93 90.00°
With the nearest neighbours (Å) after each atom.
Space group P2_1/c (No. 14)
Inequivalent atoms, fractional coordinates:
Cr: 0.0271 0.1231 0.1603  4 O 2.07-2.13
Cr: 0.4366 0.1091 0.0991  4 O 2.08-2.13
P: 0.1209 0.7150 0.5291  4 O 1.49-1.62
P: 0.2288 0.5049 0.1456  4 O 1.47-1.63
P: 0.2380 0.1971 0.8993  4 O 1.50-1.61
P: 0.3623 0.5183 0.8137  4 O 1.49-1.63
O: 0.0788 0.5722 0.1865  1 P 1.47
O: 0.0946 0.2414 0.9592  2 P 1.61-1.62
O: 0.1291 0.7083 0.4449  1 P 1.49
O: 0.1478 0.0968 0.8297  1 P 1.50
O: 0.2007 0.5563 0.5780  1 P 1.51
O: 0.2231 0.5999 0.0613  2 P 1.61-1.63
O: 0.2370 0.2007 0.6285  1 P 1.54
O: 0.2530 0.0294 0.2383  1 P 1.49
O: 0.2985 0.0987 0.3827  2 P 1.60-1.61
O: 0.3726 0.7138 0.8398  1 P 1.50
O: 0.4077 0.1049 0.9434  1 P 1.52
O: 0.4299 0.5623 0.1894  2 P 1.61-1.63

---

(7)
A plane-wave DFT calculation with PBE with a Hubbard U was carried out for a relaxed structure of CrP4O11.

Energy relative to the elements, eV/atom: -2.521
Size of the total moment, μB/f.u.: 4.0
Uncorrected energy, eV per atom: -7.2816
ρ, g cm⁻³: 2.60
ΔE to the lowest computed polymorph, eV per atom: 0.0000

Cell: 5.4178 22.5878 7.7266 Å, 90.00 108.11 90.00°
With the nearest neighbours (Å) after each atom.
Space group P2_1/c (No. 14)
Inequivalent atoms, fractional coordinates:
Cr: 0.0047 0.1128 0.3742  5 O 2.08-2.31
P: 0.3109 0.0720 0.8226  4 O 1.46-1.60
P: 0.3312 0.6796 0.5604  4 O 1.47-1.60
P: 0.4038 0.6951 0.9656  4 O 1.48-1.64
P: 0.4059 0.0346 0.2079  4 O 1.48-1.65
O: 0.0800 0.0735 0.6622  1 P 1.46
O: 0.0979 0.6574 0.4217  1 P 1.47
O: 0.1938 0.6809 0.0451  1 P 1.49
O: 0.2215 0.0446 0.3120  1 P 1.48
O: 0.2438 0.0460 0.9925  2 P 1.58-1.64
O: 0.2738 0.6954 0.7434  2 P 1.58-1.64
O: 0.3369 0.5639 0.2478  1 P 1.48
O: 0.3474 0.1626 0.4855  1 P 1.48
O: 0.4235 0.1364 0.8860  2 P 1.60
O: 0.4432 0.5375 0.6986  2 P 1.59-1.65
O: 0.4716 0.7346 0.5036  2 P 1.59-1.64

---

(8)
A plane-wave DFT calculation with PBE with a Hubbard U was carried out for a relaxed structure of Cr3P3O13.

Energy relative to the elements, eV/atom: -2.396
Size of the total moment, μB/f.u.: 7.0
Uncorrected energy, eV per atom: -7.3750
ρ, g cm⁻³: 3.14

Cell: 7.4470 6.2557 10.5304 Å, 90.00 99.89 90.00°
With the nearest neighbours (Å) after each atom.
Space group P2_1/m (No. 11)
Inequivalent atoms, fractional coordinates:
Cr: 0.0000 0.0000 0.0000  6 O 1.97-2.06
Cr: 0.2248 0.2500 0.5559  5 O 1.90-1.98
Cr: 0.3698 0.7500 0.1954  6 O 1.89-2.10
P: 0.2135 0.7500 0.4760  4 O 1.54-1.55
P: 0.2557 0.2500 0.2338  4 O 1.52-1.59
P: 0.3042 0.2500 0.8804  4 O 1.52-1.59
O: 0.0135 0.7500 0.4035  1 P 1.55
O: 0.0804 0.2500 0.1235  1 P 1.59
O: 0.1281 0.7500 0.0917  3 Cr 1.94-1.99
O: 0.1963 0.2500 0.3654  1 P 1.52
O: 0.2068 0.0460 0.9093  1 P 1.52
O: 0.2589 0.5537 0.5638  1 P 1.54
O: 0.3413 0.7500 0.3755  1 P 1.54
O: 0.3468 0.2500 0.7389  1 P 1.58
O: 0.3694 0.0536 0.2108  1 P 1.53
O: 0.4887 0.7500 0.0501  1 P 1.59